1.
The following is a GGA-PBE calculation of a relaxed PmInPt2 crystal, from Materials Project.

Cell: 4.895 4.895 4.895 Å, 60.00 60.00 60.00°
Fractional positions:
Pt 0.250 0.250 0.250
Pt 0.750 0.750 0.750
In 0.000 0.000 0.000
Pm 0.500 0.500 0.500

- ΔH_f (0 K): -0.816 eV per atom
- Total energy: -22.91 eV/f.u.

---

2.
The following is a GGA-PBE calculation of a relaxed RbMg6Al crystal, from Materials Project.

Cell: 5.180 7.000 11.726 Å, 90.00 90.00 90.00°
Fractional positions:
Mg 0.000 0.500 0.649
Mg 0.000 0.284 0.416
Mg 0.500 0.759 0.082
Mg 0.500 0.259 0.582
Mg 0.500 0.241 0.082
Mg 0.000 0.000 0.669
Mg 0.000 0.716 0.416
Mg 0.500 0.741 0.582
Mg 0.000 0.216 0.916
Mg 0.000 0.000 0.149
Mg 0.000 0.784 0.916
Mg 0.000 0.500 0.169
Al 0.500 0.500 0.348
Al 0.500 0.000 0.848
Rb 0.500 0.000 0.339
Rb 0.500 0.500 0.839

- ΔH_f (0 K): 0.262 eV per atom
- Total energy: -12.23 eV/f.u.

---

3.
The following is a GGA-PBE calculation of a relaxed Ca3SiO5 crystal, from Materials Project.

Cell: 9.595 9.595 9.595 Å, 43.81 43.81 43.81°
Fractional positions:
Ca 0.713 0.260 0.713
Ca 0.504 0.987 0.504
Ca 0.284 0.284 0.760
Ca 0.713 0.713 0.260
Ca 0.987 0.504 0.504
Ca 0.760 0.284 0.284
Ca 0.260 0.713 0.713
Ca 0.284 0.760 0.284
Ca 0.504 0.504 0.987
O 0.500 0.500 0.500
O 0.371 0.371 0.371
O 0.851 0.851 0.851
O 0.639 0.639 0.013
O 0.855 0.231 0.855
O 0.367 0.990 0.367
O 0.639 0.013 0.639
O 0.367 0.367 0.990
O 0.158 0.158 0.158
O 0.855 0.855 0.231
O 0.013 0.639 0.639
O 0.064 0.064 0.064
O 0.618 0.618 0.618
O 0.231 0.855 0.855
O 0.990 0.367 0.367
Si 0.221 0.221 0.221
Si 0.786 0.786 0.786
Si 0.001 0.001 0.001

- Energy with MP2020 corrections: -0.54372 Ry per atom
- ΔH_f (0 K): -3.377 eV per atom
- Total energy: -63.14 eV/f.u.

---

4.
The following is a GGA-PBE calculation of a relaxed B10H13I crystal, from Materials Project.

Cell: 12.319 14.390 14.479 Å, 60.84 90.00 90.00°
Fractional positions:
B 0.168 0.891 0.715
B 0.332 0.391 0.215
B 0.641 0.722 0.801
B 0.569 0.151 0.657
B 0.330 0.748 0.395
B 0.271 0.835 0.669
B 0.800 0.610 0.747
B 0.668 0.609 0.785
B 0.729 0.165 0.331
B 0.300 0.890 0.753
B 0.354 0.668 0.333
B 0.373 0.156 0.320
B 0.873 0.344 0.180
B 0.627 0.844 0.680
B 0.905 0.220 0.186
B 0.752 0.889 0.623
B 0.529 0.817 0.274
B 0.862 0.616 0.386
B 0.431 0.849 0.343
B 0.962 0.788 0.114
B 0.069 0.349 0.843
B 0.854 0.832 0.167
B 0.672 0.815 0.579
B 0.244 0.682 0.737
B 0.748 0.389 0.123
B 0.638 0.116 0.886
B 0.803 0.161 0.148
B 0.127 0.656 0.820
B 0.141 0.778 0.699
B 0.700 0.110 0.247
B 0.931 0.651 0.157
B 0.252 0.611 0.877
B 0.744 0.818 0.763
B 0.019 0.203 0.769
B 0.519 0.297 0.731
B 0.828 0.315 0.079
B 0.303 0.339 0.352
B 0.146 0.168 0.833
B 0.670 0.252 0.605
B 0.405 0.280 0.314
B 0.038 0.212 0.886
B 0.830 0.752 0.105
B 0.328 0.185 0.421
B 0.538 0.288 0.614
B 0.481 0.703 0.269
B 0.771 0.665 0.831
B 0.448 0.924 0.188
B 0.697 0.661 0.648
B 0.552 0.076 0.812
B 0.095 0.780 0.814
B 0.859 0.222 0.301
B 0.029 0.683 0.226
B 0.511 0.172 0.849
B 0.948 0.576 0.312
B 0.756 0.318 0.263
B 0.989 0.672 0.349
B 0.873 0.757 0.321
B 0.359 0.278 0.199
B 0.971 0.317 0.774
B 0.832 0.109 0.285
B 0.362 0.884 0.114
B 0.138 0.384 0.614
B 0.172 0.685 0.921
B 0.373 0.743 0.179
B 0.627 0.257 0.821
B 0.127 0.243 0.679
B 0.471 0.183 0.726
B 0.256 0.182 0.237
B 0.595 0.720 0.686
B 0.489 0.828 0.151
B 0.011 0.328 0.651
B 0.462 0.712 0.386
B 0.170 0.248 0.895
B 0.981 0.797 0.231
B 0.229 0.335 0.169
B 0.200 0.390 0.253
B 0.248 0.111 0.377
B 0.646 0.332 0.667
B 0.052 0.424 0.688
B 0.197 0.839 0.852
H 0.057 0.595 0.830
H 0.683 0.419 0.629
H 0.622 0.527 0.840
H 0.977 0.485 0.352
H 0.789 0.694 0.334
H 0.310 0.874 0.583
H 0.824 0.646 0.166
H 0.215 0.023 0.430
H 0.145 0.321 0.233
H 0.771 0.769 0.174
H 0.841 0.570 0.325
H 0.159 0.430 0.675
H 0.190 0.374 0.083
H 0.444 0.158 0.914
H 0.775 0.775 0.030
H 0.179 0.883 0.903
H 0.278 0.665 0.928
H 0.847 0.804 0.366
H 0.267 0.639 0.687
H 0.645 0.179 0.267
H 0.225 0.225 0.970
H 0.355 0.821 0.733
H 0.859 0.357 0.990
H 0.711 0.194 0.834
H 0.285 0.523 0.930
H 0.722 0.335 0.072
H 0.556 0.842 0.086
H 0.953 0.604 0.112
H 0.222 0.165 0.428
H 0.690 0.126 0.417
H 0.821 0.117 0.097
H 0.453 0.896 0.388
H 0.321 0.383 0.403
H 0.359 0.143 0.510
H 0.153 0.196 0.634
H 0.173 0.163 0.302
H 0.810 0.626 0.917
H 0.341 0.930 0.175
H 0.557 0.905 0.670
H 0.183 0.081 0.871
H 0.347 0.696 0.134
H 0.317 0.581 0.371
H 0.477 0.015 0.148
H 0.696 0.175 0.142
H 0.785 0.977 0.570
H 0.120 0.662 0.216
H 0.675 0.059 0.971
H 0.547 0.104 0.612
H 0.860 0.538 0.766
H 0.855 0.679 0.767
H 0.175 0.441 0.529
H 0.943 0.405 0.170
H 0.233 0.139 0.187
H 0.673 0.337 0.198
H 0.324 0.854 0.334
H 0.047 0.396 0.888
H 0.443 0.095 0.330
H 0.505 0.707 0.665
H 0.140 0.462 0.234
H 0.640 0.038 0.266
H 0.733 0.361 0.313
H 0.196 0.325 0.358
H 0.676 0.146 0.666
H 0.641 0.857 0.490
H 0.880 0.338 0.784
H 0.495 0.293 0.335
H 0.325 0.941 0.029
H 0.659 0.070 0.825
H 0.778 0.835 0.572
H 0.653 0.304 0.866
H 0.715 0.477 0.070
H 0.729 0.269 0.674
H 0.275 0.725 0.470
H 0.523 0.985 0.852
H 0.211 0.306 0.666
H 0.289 0.806 0.166
H 0.380 0.162 0.716
H 0.988 0.155 0.964
H 0.229 0.231 0.826
H 0.944 0.342 0.586
H 0.005 0.793 0.835
H 0.056 0.658 0.414
H 0.767 0.861 0.813
H 0.827 0.837 0.698
H 0.804 0.675 0.642
H 0.141 0.643 0.010
H 0.360 0.962 0.734
H 0.488 0.345 0.536
H 0.271 0.731 0.326
H 0.878 0.027 0.340
H 0.023 0.515 0.648
H 0.725 0.275 0.530
H 0.679 0.617 0.597
H 0.825 0.559 0.471
H 0.620 0.838 0.284
H 0.176 0.354 0.834
H 0.817 0.919 0.129
H 0.304 0.825 0.858
H 0.995 0.207 0.165
H 0.378 0.473 0.160
H 0.012 0.845 0.036
H 0.122 0.973 0.660
H 0.327 0.663 0.802
H 0.512 0.655 0.464
I 0.542 0.698 0.936
I 0.458 0.302 0.064
I 0.080 0.929 0.218
I 0.042 0.802 0.564
I 0.580 0.571 0.282
I 0.920 0.071 0.782
I 0.958 0.198 0.436
I 0.420 0.429 0.718

- Energy with MP2020 corrections: -0.35218 Ry per atom
- ΔH_f (0 K): -0.107 eV per atom
- Total energy: -114.62 eV/f.u.

---

5.
The following is a GGA-PBE calculation of a relaxed Cs2RbYBr6 crystal, from Materials Project.

Cell: 8.607 8.607 8.607 Å, 60.00 60.00 60.00°
Fractional positions:
Br 0.230 0.770 0.230
Br 0.230 0.770 0.770
Br 0.770 0.230 0.770
Br 0.230 0.230 0.770
Br 0.770 0.770 0.230
Br 0.770 0.230 0.230
Y 0.000 0.000 0.000
Rb 0.500 0.500 0.500
Cs 0.750 0.750 0.750
Cs 0.250 0.250 0.250

- Energy with MP2020 corrections: -0.30010 Ry per atom
- ΔH_f (0 K): -2.177 eV per atom
- Total energy: -37.63 eV/f.u.

---

6.
The following is a GGA-PBE calculation of a relaxed CrGaN2 crystal, from Materials Project.

Cell: 5.527 6.582 5.168 Å, 90.00 90.00 90.00°
Fractional positions:
N 0.919 0.372 0.880
N 0.415 0.622 0.887
N 0.081 0.628 0.380
N 0.585 0.378 0.387
N 0.915 0.878 0.887
N 0.419 0.128 0.880
N 0.085 0.122 0.387
N 0.581 0.872 0.380
Cr 0.075 0.626 0.999
Cr 0.925 0.374 0.499
Cr 0.575 0.874 0.999
Cr 0.425 0.126 0.499
Ga 0.917 0.876 0.503
Ga 0.417 0.624 0.503
Ga 0.083 0.124 0.003
Ga 0.583 0.376 0.003

- Energy with MP2020 corrections: -0.57009 Ry per atom
- ΔH_f (0 K): -0.418 eV per atom
- Total energy: -30.30 eV/f.u.

---

7.
The following is a GGA-PBE calculation of a relaxed SrSi2 crystal, from Materials Project.

Cell: 6.564 6.564 6.564 Å, 90.00 90.00 90.00°
Fractional positions:
Si 0.328 0.172 0.828
Si 0.672 0.672 0.672
Si 0.578 0.422 0.922
Si 0.422 0.922 0.578
Si 0.828 0.328 0.172
Si 0.078 0.078 0.078
Si 0.172 0.828 0.328
Si 0.922 0.578 0.422
Sr 0.125 0.625 0.875
Sr 0.375 0.375 0.375
Sr 0.875 0.125 0.625
Sr 0.625 0.875 0.125

- Energy with MP2020 corrections: -0.33040 Ry per atom
- ΔH_f (0 K): -0.315 eV per atom
- Total energy: -13.63 eV/f.u.

---

8.
The following is a GGA-PBE calculation of a relaxed BaLu2Si3O10 crystal, from Materials Project.

Cell: 5.399 12.206 6.813 Å, 90.00 106.29 90.00°
Fractional positions:
O 0.840 0.380 0.005
O 0.122 0.250 0.371
O 0.840 0.120 0.005
O 0.878 0.750 0.629
O 0.555 0.945 0.805
O 0.454 0.357 0.668
O 0.445 0.055 0.195
O 0.445 0.445 0.195
O 0.364 0.750 0.611
O 0.160 0.880 0.995
O 0.454 0.143 0.668
O 0.099 0.951 0.351
O 0.546 0.857 0.332
O 0.901 0.451 0.649
O 0.546 0.643 0.332
O 0.099 0.549 0.351
O 0.555 0.555 0.805
O 0.636 0.250 0.389
O 0.901 0.049 0.649
O 0.160 0.620 0.995
Si 0.303 0.940 0.210
Si 0.420 0.250 0.514
Si 0.697 0.060 0.790
Si 0.303 0.560 0.210
Si 0.697 0.440 0.790
Si 0.580 0.750 0.486
Lu 0.843 0.100 0.320
Lu 0.843 0.400 0.320
Lu 0.157 0.600 0.680
Lu 0.157 0.900 0.680
Ba 0.238 0.250 0.983
Ba 0.762 0.750 0.017

- Energy with MP2020 corrections: -0.61941 Ry per atom
- ΔH_f (0 K): -3.633 eV per atom
- Total energy: -127.97 eV/f.u.

---

9.
The following is a GGA-PBE calculation of a relaxed Er2Al9Rh3 crystal, from Materials Project.

Cell: 7.540 7.540 9.439 Å, 90.00 90.00 119.56°
Fractional positions:
Al 0.874 0.874 0.250
Al 0.335 0.001 0.574
Al 0.001 0.335 0.926
Al 0.665 0.999 0.074
Al 0.667 0.667 0.554
Al 0.335 0.001 0.926
Al 0.333 0.333 0.446
Al 0.667 0.667 0.946
Al 0.452 0.662 0.250
Al 0.126 0.126 0.750
Al 0.662 0.452 0.250
Al 0.338 0.548 0.750
Al 0.001 0.335 0.574
Al 0.665 0.999 0.426
Al 0.999 0.665 0.074
Al 0.333 0.333 0.054
Al 0.548 0.338 0.750
Al 0.999 0.665 0.426
Er 0.331 0.005 0.250
Er 0.669 0.995 0.750
Er 0.995 0.669 0.750
Er 0.005 0.331 0.250
Rh 0.672 0.328 0.000
Rh 0.328 0.672 0.000
Rh 0.000 0.000 0.000
Rh 0.672 0.328 0.500
Rh 0.000 0.000 0.500
Rh 0.328 0.672 0.500

- ΔH_f (0 K): -0.825 eV per atom
- Total energy: -76.49 eV/f.u.

---

10.
The following is a GGA-PBE calculation of a relaxed Y2Co17 crystal, from Materials Project.

Cell: 6.282 6.282 6.282 Å, 82.90 82.90 82.90°
Fractional positions:
Co 0.288 0.712 0.000
Co 0.150 0.655 0.655
Co 0.904 0.904 0.904
Co 0.345 0.850 0.345
Co 0.345 0.345 0.850
Co 0.850 0.345 0.345
Co 0.500 0.000 0.000
Co 0.096 0.096 0.096
Co 0.655 0.655 0.150
Co 0.000 0.500 0.000
Co 0.712 0.288 0.000
Co 0.000 0.288 0.712
Co 0.000 0.000 0.500
Co 0.288 0.000 0.712
Co 0.000 0.712 0.288
Co 0.655 0.150 0.655
Co 0.712 0.000 0.288
Y 0.344 0.344 0.344
Y 0.656 0.656 0.656

- ΔH_f (0 K): -0.094 eV per atom
- Total energy: -135.56 eV/f.u.

---

What did the fifth record say?
The following is a GGA-PBE calculation of a relaxed Cs2RbYBr6 crystal, from Materials Project.

Cell: 8.607 8.607 8.607 Å, 60.00 60.00 60.00°
Fractional positions:
Br 0.230 0.770 0.230
Br 0.230 0.770 0.770
Br 0.770 0.230 0.770
Br 0.230 0.230 0.770
Br 0.770 0.770 0.230
Br 0.770 0.230 0.230
Y 0.000 0.000 0.000
Rb 0.500 0.500 0.500
Cs 0.750 0.750 0.750
Cs 0.250 0.250 0.250

- Energy with MP2020 corrections: -0.30010 Ry per atom
- ΔH_f (0 K): -2.177 eV per atom
- Total energy: -37.63 eV/f.u.